VASP calculation (PBE) on a relaxed structure of Cs3GdP2O8.

Results
Formation enthalpy at 0 K = -2.94 eV/atom
Space-group type = No. 4
Magnetization = 7.0 μB/f.u.

abc: 10.435 10.576 10.722
angles: 90.00 107.70 90.00
Atoms (fractional coordinates):
O: 0.504 0.108 0.999
O: 0.057 0.531 0.507
O: 0.881 0.355 0.873
O: 0.565 0.736 0.508
O: 0.860 0.229 0.349
O: 0.989 0.673 0.999
O: 0.268 0.260 0.259
O: 0.708 0.639 0.194
O: 0.480 0.724 0.705
O: 0.140 0.729 0.651
O: 0.011 0.173 0.001
O: 0.779 0.220 0.018
O: 0.496 0.608 0.001
O: 0.366 0.050 0.333
O: 0.978 0.567 0.703
O: 0.119 0.855 0.127
O: 0.382 0.918 0.874
O: 0.227 0.519 0.739
O: 0.520 0.224 0.295
O: 0.773 0.019 0.261
O: 0.277 0.044 0.019
O: 0.732 0.760 0.741
O: 0.022 0.067 0.297
O: 0.943 0.031 0.493
O: 0.196 0.630 0.195
O: 0.435 0.236 0.492
O: 0.804 0.130 0.805
O: 0.723 0.544 0.981
O: 0.221 0.720 0.982
O: 0.292 0.139 0.806
O: 0.634 0.550 0.667
O: 0.618 0.418 0.126
P: 0.134 0.717 0.078
P: 0.400 0.196 0.349
P: 0.098 0.586 0.646
P: 0.600 0.696 0.651
P: 0.902 0.086 0.354
P: 0.866 0.217 0.922
P: 0.639 0.554 0.077
P: 0.361 0.054 0.923
Gd: 0.657 0.208 0.164
Gd: 0.159 0.065 0.163
Gd: 0.343 0.708 0.836
Gd: 0.841 0.565 0.837
Cs: 0.990 0.416 0.211
Cs: 0.965 0.766 0.335
Cs: 0.278 0.397 0.019
Cs: 0.725 0.477 0.436
Cs: 0.668 0.018 0.546
Cs: 0.010 0.916 0.789
Cs: 0.520 0.320 0.778
Cs: 0.035 0.266 0.665
Cs: 0.480 0.820 0.222
Cs: 0.275 0.977 0.564
Cs: 0.722 0.897 0.981
Cs: 0.332 0.518 0.454

---

VASP calculation (PBE) on a relaxed structure of PrMn4Co8.

Results
Formation enthalpy at 0 K = 0.06 eV/atom
Space-group type = No. 139
Magnetization = 16.2 μB/f.u.

abc: 4.542 6.425 6.425
angles: 82.82 69.30 69.30
Atoms (fractional coordinates):
Mn: 0.000 0.500 0.000
Mn: 0.000 0.000 0.500
Mn: 0.500 0.500 0.000
Mn: 0.500 0.000 0.500
Co: 0.500 0.767 0.233
Co: 0.361 0.639 0.639
Co: 0.000 0.361 0.639
Co: 0.500 0.233 0.767
Co: 0.733 0.767 0.767
Co: 0.267 0.233 0.233
Co: 0.639 0.361 0.361
Co: 0.000 0.639 0.361
Pr: 0.000 0.000 0.000

---

VASP calculation (PBE) on a relaxed structure of CsPbCl3.

Results
Formation enthalpy at 0 K = -1.89 eV/atom
Space-group type = No. 38

abc: 5.811 11.272 7.968
angles: 44.98 90.00 90.00
Atoms (fractional coordinates):
Cl: 0.500 0.993 0.999
Cl: 0.000 0.802 0.881
Cl: 0.000 0.183 0.119
Cl: 0.000 0.683 0.500
Cl: 0.500 0.492 0.001
Cl: 0.000 0.301 0.500
Pb: 0.000 0.993 0.000
Pb: 0.000 0.493 0.000
Cs: 0.500 0.994 0.500
Cs: 0.500 0.493 0.500

---

VASP calculation (PBE) on a relaxed structure of Ti2CdC.

Results
Formation enthalpy at 0 K = -0.54 eV/atom
Space-group type = No. 194

abc: 3.105 3.105 14.544
angles: 90.00 90.00 120.00
Atoms (fractional coordinates):
Ti: 0.667 0.333 0.423
Ti: 0.333 0.667 0.577
Ti: 0.333 0.667 0.923
Ti: 0.667 0.333 0.077
Cd: 0.667 0.333 0.750
Cd: 0.333 0.667 0.250
C: 0.000 0.000 0.000
C: 0.000 0.000 0.500